(1)
VASP calculation (PBE with a Hubbard U) on Li3Mn5O10 after structural relaxation. Values from VASP.

Output
Space-group type = P-1, No. 2
Spin magnetization = 1.00 μB per atom
E = -6.7998 eV per atom

Structure (Quantum ESPRESSO input):
```
&SYSTEM
  ibrav = 0, nat = 18, ntyp = 3
/
ATOMIC_SPECIES
Li 6.94 Li.upf
Mn 54.94 Mn.upf
O 16.00 O.upf
ATOMIC_POSITIONS crystal
Li 0.000 0.000 0.000
Li 0.499 0.717 0.077
Li 0.501 0.283 0.923
Mn 0.002 0.390 0.196
Mn 0.022 0.192 0.602
Mn 0.500 0.500 0.500
Mn 0.978 0.808 0.398
Mn 0.998 0.610 0.804
O 0.190 0.049 0.166
O 0.220 0.607 0.967
O 0.223 0.433 0.354
O 0.225 0.812 0.551
O 0.241 0.293 0.735
O 0.759 0.707 0.265
O 0.775 0.188 0.449
O 0.777 0.567 0.646
O 0.780 0.393 0.033
O 0.810 0.951 0.834
CELL_PARAMETERS angstrom
5.164 0.000 0.000
0.968 5.170 0.000
2.475 2.082 6.953
```


(2)
VASP calculation (PBE with a Hubbard U) on KBa2V2ClO7 after structural relaxation. Values from VASP.

Output
Space-group type = P6_3mc, No. 186
Spin magnetization = 0.00 μB per atom
E = -6.7054 eV per atom

Structure (Quantum ESPRESSO input):
```
&SYSTEM
  ibrav = 0, nat = 26, ntyp = 5
/
ATOMIC_SPECIES
K 39.10 K.upf
Ba 137.33 Ba.upf
V 50.94 V.upf
Cl 35.45 Cl.upf
O 16.00 O.upf
ATOMIC_POSITIONS crystal
K 0.333 0.667 0.000
K 0.667 0.333 0.500
Ba 0.333 0.667 0.300
Ba 0.333 0.667 0.592
Ba 0.667 0.333 0.092
Ba 0.667 0.333 0.800
V 0.000 0.000 0.180
V 0.000 0.000 0.418
V 0.000 0.000 0.680
V 0.000 0.000 0.918
Cl 0.333 0.667 0.797
Cl 0.667 0.333 0.297
O 0.000 0.000 0.299
O 0.000 0.000 0.799
O 0.160 0.320 0.145
O 0.160 0.840 0.145
O 0.161 0.321 0.453
O 0.161 0.839 0.453
O 0.320 0.160 0.645
O 0.321 0.161 0.953
O 0.679 0.839 0.453
O 0.680 0.840 0.145
O 0.839 0.161 0.953
O 0.839 0.679 0.953
O 0.840 0.160 0.645
O 0.840 0.680 0.645
CELL_PARAMETERS angstrom
5.894 0.000 0.000
-2.947 5.104 0.000
0.000 0.000 15.274
```


(3)
VASP calculation (PBE with a Hubbard U) on La2MnNiO6 after structural relaxation. Values from VASP.

Output
Space-group type = P2_1/c, No. 14
Spin magnetization = 0.50 μB per atom
E = -7.4456 eV per atom

Structure (Quantum ESPRESSO input):
```
&SYSTEM
  ibrav = 0, nat = 20, ntyp = 4
/
ATOMIC_SPECIES
La 138.91 La.upf
Mn 54.94 Mn.upf
Ni 58.69 Ni.upf
O 16.00 O.upf
ATOMIC_POSITIONS crystal
La 0.244 0.032 0.250
La 0.244 0.468 0.750
La 0.756 0.532 0.250
La 0.756 0.968 0.750
Mn 0.000 0.000 0.500
Mn 0.000 0.500 0.000
Ni 0.500 0.000 0.000
Ni 0.500 0.500 0.500
O 0.168 0.224 0.961
O 0.168 0.276 0.461
O 0.235 0.710 0.961
O 0.235 0.790 0.461
O 0.315 0.014 0.742
O 0.315 0.486 0.242
O 0.685 0.514 0.758
O 0.685 0.986 0.258
O 0.765 0.210 0.539
O 0.765 0.290 0.039
O 0.832 0.724 0.539
O 0.832 0.776 0.039
CELL_PARAMETERS angstrom
5.545 0.000 0.000
0.000 5.543 0.000
-5.525 0.000 7.821
```


(4)
VASP calculation (PBE with a Hubbard U) on SrNdNiRuO6 after structural relaxation. Values from VASP.

Output
Space-group type = Pc, No. 7
Spin magnetization = 0.50 μB per atom
E = -6.8335 eV per atom

Structure (Quantum ESPRESSO input):
```
&SYSTEM
  ibrav = 0, nat = 20, ntyp = 5
/
ATOMIC_SPECIES
Sr 87.62 Sr.upf
Nd 144.24 Nd.upf
Ni 58.69 Ni.upf
Ru 101.07 Ru.upf
O 16.00 O.upf
ATOMIC_POSITIONS crystal
Sr 0.000 0.219 0.000
Sr 0.000 0.781 0.500
Nd 0.523 0.299 0.502
Nd 0.523 0.701 0.002
Ni 0.758 0.243 0.251
Ni 0.758 0.757 0.751
Ru 0.259 0.246 0.750
Ru 0.259 0.754 0.250
O 0.104 0.238 0.508
O 0.104 0.762 0.008
O 0.436 0.271 0.993
O 0.436 0.729 0.493
O 0.504 0.045 0.296
O 0.504 0.955 0.796
O 0.575 0.471 0.791
O 0.575 0.529 0.291
O 0.916 0.044 0.704
O 0.916 0.956 0.204
O 0.993 0.472 0.209
O 0.993 0.528 0.709
CELL_PARAMETERS angstrom
5.473 0.000 0.000
0.000 5.537 0.000
-5.468 0.000 8.062
```


(5)
VASP calculation (PBE with a Hubbard U) on V4OF11 after structural relaxation. Values from VASP.

Output
Space-group type = C2, No. 5
Spin magnetization = 0.44 μB per atom
E = -6.2403 eV per atom

Structure (Quantum ESPRESSO input):
```
&SYSTEM
  ibrav = 0, nat = 32, ntyp = 3
/
ATOMIC_SPECIES
V 50.94 V.upf
O 16.00 O.upf
F 19.00 F.upf
ATOMIC_POSITIONS crystal
V 0.061 0.061 0.194
V 0.162 0.213 0.562
V 0.304 0.319 0.937
V 0.411 0.465 0.311
V 0.535 0.589 0.689
V 0.681 0.696 0.063
V 0.787 0.838 0.438
V 0.939 0.939 0.806
O 0.166 0.796 0.734
O 0.204 0.834 0.266
F 0.127 0.370 0.251
F 0.127 0.566 0.850
F 0.177 0.628 0.400
F 0.204 0.036 0.877
F 0.372 0.823 0.600
F 0.393 0.607 0.000
F 0.399 0.046 0.475
F 0.434 0.873 0.150
F 0.451 0.297 0.625
F 0.467 0.085 0.024
F 0.623 0.079 0.350
F 0.630 0.873 0.749
F 0.660 0.290 0.224
F 0.691 0.112 0.894
F 0.703 0.549 0.375
F 0.710 0.340 0.776
F 0.871 0.129 0.500
F 0.888 0.309 0.106
F 0.915 0.533 0.976
F 0.921 0.377 0.650
F 0.954 0.601 0.525
F 0.964 0.796 0.123
CELL_PARAMETERS angstrom
4.791 -2.629 0.000
4.791 2.629 0.000
-3.712 0.000 17.307
```


(6)
VASP calculation (PBE with a Hubbard U) on Fe4SiO9 after structural relaxation. Values from VASP.

Output
Space-group type = P1, No. 1
Spin magnetization = 1.29 μB per atom
E = -6.6223 eV per atom

Structure (Quantum ESPRESSO input):
```
&SYSTEM
  ibrav = 0, nat = 14, ntyp = 3
/
ATOMIC_SPECIES
Fe 55.84 Fe.upf
Si 28.09 Si.upf
O 16.00 O.upf
ATOMIC_POSITIONS crystal
Fe 0.000 0.000 0.000
Fe 0.001 0.343 0.415
Fe 0.341 0.672 0.001
Fe 0.677 0.350 0.999
Si 0.336 0.003 0.403
O 0.019 0.674 0.881
O 0.081 0.058 0.475
O 0.289 0.699 0.476
O 0.329 0.996 0.173
O 0.337 0.325 0.887
O 0.639 0.256 0.477
O 0.660 0.020 0.888
O 0.668 0.661 0.128
O 0.996 0.340 0.148
CELL_PARAMETERS angstrom
5.334 0.000 0.000
-2.555 4.684 0.000
-0.108 -0.151 7.379
```


(7)
VASP calculation (PBE with a Hubbard U) on SrCo2As2O8 after structural relaxation. Values from VASP.

Output
Space-group type = P1, No. 1
Spin magnetization = 0.00 μB per atom
E = -6.2724 eV per atom

Structure (Quantum ESPRESSO input):
```
&SYSTEM
  ibrav = 0, nat = 26, ntyp = 4
/
ATOMIC_SPECIES
Sr 87.62 Sr.upf
Co 58.93 Co.upf
As 74.92 As.upf
O 16.00 O.upf
ATOMIC_POSITIONS crystal
Sr 0.000 0.000 0.000
Sr 0.398 0.494 0.900
Co 0.118 0.443 0.505
Co 0.288 0.049 0.391
Co 0.529 0.475 0.296
Co 0.883 0.020 0.609
As 0.047 0.566 0.189
As 0.352 0.924 0.704
As 0.659 0.025 0.250
As 0.746 0.468 0.650
O 0.109 0.803 0.184
O 0.151 0.404 0.064
O 0.155 0.929 0.528
O 0.230 0.078 0.824
O 0.248 0.563 0.365
O 0.301 0.687 0.710
O 0.439 0.321 0.582
O 0.443 0.174 0.250
O 0.586 0.870 0.063
O 0.615 0.925 0.388
O 0.669 0.019 0.747
O 0.729 0.480 0.153
O 0.792 0.574 0.515
O 0.818 0.620 0.837
O 0.963 0.320 0.647
O 0.966 0.171 0.314
CELL_PARAMETERS angstrom
5.746 0.000 0.000
-1.104 7.127 0.000
-2.756 -3.260 8.554
```


(8)
VASP calculation (PBE with a Hubbard U) on FeOF after structural relaxation. Values from VASP.

Output
Space-group type = Pm, No. 6
Spin magnetization = 1.65 μB per atom
E = -6.0073 eV per atom

Structure (Quantum ESPRESSO input):
```
&SYSTEM
  ibrav = 0, nat = 54, ntyp = 3
/
ATOMIC_SPECIES
Fe 55.84 Fe.upf
O 16.00 O.upf
F 19.00 F.upf
ATOMIC_POSITIONS crystal
Fe 0.000 0.000 0.000
Fe 0.002 0.000 0.670
Fe 0.028 0.000 0.347
Fe 0.177 0.500 0.186
Fe 0.184 0.500 0.498
Fe 0.191 0.500 0.838
Fe 0.335 0.000 0.340
Fe 0.344 0.000 0.996
Fe 0.348 0.000 0.685
Fe 0.499 0.500 0.841
Fe 0.527 0.500 0.172
Fe 0.531 0.500 0.513
Fe 0.668 0.000 0.341
Fe 0.675 0.000 0.009
Fe 0.690 0.000 0.673
Fe 0.846 0.500 0.520
Fe 0.854 0.500 0.829
Fe 0.859 0.500 0.169
O 0.077 0.500 0.412
O 0.110 0.000 0.237
O 0.242 0.000 0.773
O 0.248 0.000 0.446
O 0.278 0.500 0.945
O 0.284 0.500 0.273
O 0.414 0.500 0.735
O 0.452 0.000 0.911
O 0.578 0.000 0.104
O 0.580 0.000 0.445
O 0.616 0.500 0.617
O 0.619 0.500 0.274
O 0.745 0.500 0.743
O 0.783 0.000 0.569
O 0.915 0.000 0.111
O 0.915 0.000 0.775
O 0.944 0.500 0.941
O 0.954 0.500 0.604
F 0.079 0.500 0.740
F 0.082 0.500 0.069
F 0.112 0.000 0.905
F 0.120 0.000 0.579
F 0.245 0.000 0.109
F 0.281 0.500 0.609
F 0.409 0.500 0.079
F 0.414 0.500 0.404
F 0.443 0.000 0.569
F 0.451 0.000 0.239
F 0.578 0.000 0.782
F 0.618 0.500 0.936
F 0.747 0.500 0.075
F 0.751 0.500 0.401
F 0.779 0.000 0.913
F 0.786 0.000 0.238
F 0.911 0.000 0.437
F 0.945 0.500 0.281
CELL_PARAMETERS angstrom
14.133 0.000 0.000
0.000 3.089 0.000
-0.025 0.000 14.136
```


spin magnetization of number 7 (SrCo2As2O8)? 0.00 μB per atom


Which of these has the highest E? FeOF


The lowest E belongs to which entry? La2MnNiO6